{"formula": "NbGeAs", "functional": "meta-GGA r2SCAN", "state": "relaxed", "cell": [[3.5923, 0.0000, 0.0000], [0.0000, 3.5923, 0.0000], [0.0000, 0.0000, 7.9713]], "species": ["Nb", "Nb", "Ge", "As", "As", "Ge"], "frac_coords": [[0.2500, 0.2500, 0.2616], [0.7500, 0.7500, 0.7384], [0.2500, 0.7500, 0.0000], [0.7500, 0.7500, 0.3908], [0.2500, 0.2500, 0.6092], [0.7500, 0.2500, 0.0000]], "mass_density_g_cm3": 7.8, "formation_enthalpy_0k_ev_per_atom": -0.50, "sg": "P4/nmm"}